[1]
This record from the Materials Project describes a relaxed structure of Cs2GdCl5. The functional is PBE.

a b c (Å): 7.6315 9.7955 15.5946
angles (deg): 90.00 90.00 90.00
Closest atoms and distances in Å follow each position.
Element x y z (fractional)
Cl (0.4964, 0.6659, 0.1187)  1 Gd 2.60
Cl (0.7500, 0.9816, 0.2015)  1 Gd 2.63
Cl (0.5000, 0.5000, 0.5000)  2 Gd 2.78
Cl (0.4964, 0.1659, 0.3813)  1 Gd 2.60
Cl (0.0000, 0.0000, 0.0000)  2 Gd 2.78
Cl (0.2500, 0.2883, 0.0924)  1 Gd 2.69
Cl (0.0036, 0.6659, 0.1187)  1 Gd 2.60
Cl (0.5036, 0.8341, 0.6187)  1 Gd 2.60
Cl (0.7500, 0.7117, 0.9076)  1 Gd 2.69
Cl (0.7500, 0.2117, 0.5924)  1 Gd 2.69
Cl (0.2500, 0.5184, 0.7015)  1 Gd 2.63
Cl (0.2500, 0.0184, 0.7985)  1 Gd 2.63
Cl (0.0036, 0.1659, 0.3813)  1 Gd 2.60
Cl (0.9964, 0.8341, 0.6187)  1 Gd 2.60
Cl (0.5036, 0.3341, 0.8813)  1 Gd 2.60
Cl (0.7500, 0.4816, 0.2985)  1 Gd 2.63
Cl (0.0000, 0.5000, 0.5000)  2 Gd 2.78
Cl (0.5000, 0.0000, 0.0000)  2 Gd 2.78
Cl (0.9964, 0.3341, 0.8813)  1 Gd 2.60
Cl (0.2500, 0.7883, 0.4076)  1 Gd 2.69
Gd (0.2500, 0.1777, 0.9346)  6 Cl 2.60-2.78
Gd (0.7500, 0.3223, 0.4346)  6 Cl 2.60-2.78
Gd (0.7500, 0.8223, 0.0654)  6 Cl 2.60-2.78
Gd (0.2500, 0.6777, 0.5654)  6 Cl 2.60-2.78
Cs (0.2500, 0.4758, 0.2875)  10 Cl 3.55-3.86
Cs (0.7500, 0.0242, 0.7875)  10 Cl 3.55-3.86
Cs (0.2500, 0.9758, 0.2125)  10 Cl 3.55-3.86
Cs (0.7500, 0.3350, 0.0835)  10 Cl 3.65-4.01
Cs (0.7500, 0.8350, 0.4165)  10 Cl 3.65-4.01
Cs (0.2500, 0.6650, 0.9165)  10 Cl 3.65-4.01
Cs (0.7500, 0.5242, 0.7125)  10 Cl 3.55-3.86
Cs (0.2500, 0.1650, 0.5835)  10 Cl 3.65-4.01

Values from the calculation:
For the calculated density, the calculation gives 3420 kg/m3. The value obtained for the total DFT energy (no corrections) is -170.4 eV/cell.

---

[2]
This record from the Materials Project describes a relaxed structure of Ba2ClF3. The functional is PBE.

a b c (Å): 4.4977 4.4977 7.5008
angles (deg): 90.00 90.00 120.00
Closest atoms and distances in Å follow each position.
Element x y z (fractional)
Ba (0.6667, 0.3333, 0.2012)  4 F 2.61-2.74
Ba (0.3333, 0.6667, 0.7988)  4 F 2.61-2.74
Cl (0.0000, 0.0000, 0.5000)  6 Ba 3.43, 8 F 3.62-3.75
F (0.6667, 0.3333, 0.8357)  4 Ba 2.61-2.74, 3 F 2.87
F (0.3333, 0.6667, 0.1643)  4 Ba 2.61-2.74, 3 F 2.87
F (0.0000, 0.0000, 0.0000)  6 F 2.87, 6 Ba 3.00

Values from the calculation:
The total moment comes out at 0.0 μB/f.u. For the calculated density, the calculation gives 4639 kg/m3. The value obtained for the total DFT energy (no corrections) is -32.4 eV/cell.

---

[3]
This record from the Materials Project describes a relaxed structure of Pr2S3O12. The functional is PBE.

a b c (Å): 11.4017 11.4017 7.0619
angles (deg): 73.55 73.55 34.67
Closest atoms and distances in Å follow each position.
Element x y z (fractional)
O (0.0200, 0.0918, 0.6438)  1 S 1.50
O (0.9082, 0.9800, 0.8562)  1 S 1.50
O (0.3422, 0.9615, 0.6998)  1 S 1.52
O (0.6925, 0.2601, 0.6111)  1 S 1.48
O (0.0918, 0.0200, 0.1438)  1 S 1.50
O (0.9615, 0.3422, 0.1998)  1 S 1.52
O (0.3953, 0.1041, 0.2899)  1 S 1.47
O (0.6450, 0.6496, 0.3761)  1 S 1.47
O (0.6496, 0.6450, 0.8761)  1 S 1.47
O (0.2601, 0.6925, 0.1111)  1 S 1.48
O (0.6267, 0.0185, 0.9967)  1 S 1.49
O (0.7399, 0.3075, 0.8889)  1 S 1.48
O (0.9815, 0.3733, 0.5033)  1 S 1.49
O (0.1041, 0.3953, 0.7899)  1 S 1.47
O (0.8959, 0.6047, 0.2101)  1 S 1.47
O (0.6047, 0.8959, 0.7101)  1 S 1.47
O (0.0185, 0.6267, 0.4967)  1 S 1.49
O (0.3075, 0.7399, 0.3889)  1 S 1.48
O (0.3550, 0.3504, 0.6239)  1 S 1.47
O (0.9800, 0.9082, 0.3562)  1 S 1.50
O (0.3504, 0.3550, 0.1239)  1 S 1.47
O (0.3733, 0.9815, 0.0033)  1 S 1.49
O (0.6578, 0.0385, 0.3002)  1 S 1.52
O (0.0385, 0.6578, 0.8002)  1 S 1.52
Pr (0.9845, 0.2799, 0.8698)  7 O 2.40-2.57
Pr (0.2799, 0.9845, 0.3698)  7 O 2.40-2.57
Pr (0.0155, 0.7201, 0.1302)  7 O 2.40-2.57
Pr (0.7201, 0.0155, 0.6302)  7 O 2.40-2.57
S (0.4997, 0.8665, 0.8223)  4 O 1.47-1.52
S (0.5003, 0.1335, 0.1777)  4 O 1.47-1.52
S (0.8355, 0.1645, 0.7500)  4 O 1.48-1.50
S (0.1645, 0.8355, 0.2500)  4 O 1.48-1.50
S (0.1335, 0.5003, 0.6777)  4 O 1.47-1.52
S (0.8665, 0.4997, 0.3223)  4 O 1.47-1.52

Values from the calculation:
For the calculated density, the calculation gives 3795 kg/m3. The value obtained for the total DFT energy (no corrections) is -235.2 eV/cell.

---

[4]
This record from the Materials Project describes a relaxed structure of GaTeI7. The functional is PBE.

a b c (Å): 7.4358 7.7019 16.9793
angles (deg): 75.22 90.00 90.00
Closest atoms and distances in Å follow each position.
Element x y z (fractional)
I (0.8890, 0.8860, 0.5413)  1 Te 2.77
I (0.6260, 0.6446, 0.1738)  1 Ga 2.61
I (0.1595, 0.6875, 0.3154)  1 Ga 2.57
I (0.3740, 0.6446, 0.6738)  1 Ga 2.61
I (0.6663, 0.2159, 0.0440)  1 Te 2.80
I (0.3337, 0.2159, 0.5440)  1 Te 2.80
I (0.1137, 0.2730, 0.1810)  1 Te 2.77
I (0.8863, 0.2730, 0.6810)  1 Te 2.77
I (0.1110, 0.8860, 0.0413)  1 Te 2.77
I (0.6470, 0.4866, 0.4316)  1 Ga 2.60
I (0.3748, 0.0307, 0.8071)  1 Ga 2.61
I (0.3530, 0.4866, 0.9316)  1 Ga 2.60
I (0.8405, 0.6875, 0.8154)  1 Ga 2.57
I (0.6252, 0.0307, 0.3071)  1 Ga 2.61
Te (0.0978, 0.9968, 0.6545)  3 I 2.77-2.80
Te (0.9022, 0.9968, 0.1545)  3 I 2.77-2.80
Ga (0.4960, 0.7126, 0.8072)  4 I 2.57-2.61
Ga (0.5040, 0.7126, 0.3072)  4 I 2.57-2.61

Values from the calculation:
For the calculated density, the calculation gives 3835 kg/m3. The piezoelectric modulus e_max is 0.49 C/m². The value obtained for the total DFT energy (no corrections) is -39.2 eV/cell.

---

[5]
This record from the Materials Project describes a relaxed structure of BaPbO3. The functional is PBE.

a b c (Å): 6.1504 6.1504 6.1311
angles (deg): 60.23 60.23 89.75
Closest atoms and distances in Å follow each position.
Element x y z (fractional)
Pb (0.5000, 0.0000, 0.5000)  6 O 2.21
Pb (0.0000, 0.5000, 0.5000)  6 O 2.21
Ba (0.2565, 0.2565, 0.9946)  5 O 2.72-2.83
Ba (0.7435, 0.7435, 0.0054)  5 O 2.72-2.83
O (0.2931, 0.7069, 0.5000)  2 Pb 2.21
O (0.7069, 0.2931, 0.5000)  2 Pb 2.21
O (0.8196, 0.8196, 0.4390)  2 Pb 2.21
O (0.7124, 0.2876, 0.0000)  2 Pb 2.21
O (0.1804, 0.1804, 0.5610)  2 Pb 2.21
O (0.2876, 0.7124, 0.0000)  2 Pb 2.21

Values from the calculation:
The total moment comes out at 0.0 μB/f.u. For the calculated density, the calculation gives 7877 kg/m3. The value obtained for the total DFT energy (no corrections) is -57.9 eV/cell.

---

[6]
This record from the Materials Project describes a relaxed structure of AlGaP2O8. The functional is PBE.

a b c (Å): 5.0506 5.0506 7.0757
angles (deg): 89.79 89.79 89.44
Closest atoms and distances in Å follow each position.
Element x y z (fractional)
O (0.7435, 0.4015, 0.3071)  1 P 1.54
O (0.2652, 0.6044, 0.7881)  1 P 1.55
O (0.2338, 0.1505, 0.9265)  1 P 1.55
O (0.1359, 0.2282, 0.5757)  1 P 1.54
O (0.8495, 0.7662, 0.0735)  1 P 1.55
O (0.5985, 0.2565, 0.6929)  1 P 1.54
O (0.7718, 0.8641, 0.4243)  1 P 1.54
O (0.3956, 0.7348, 0.2119)  1 P 1.55
P (0.3070, 0.3065, 0.7458)  4 O 1.54-1.55
P (0.6935, 0.6930, 0.2542)  4 O 1.54-1.55
Al (0.8081, 0.1919, 0.5000)  4 O 1.75
Ga (0.1974, 0.8026, 0.0000)  4 O 1.84

Values from the calculation:
The total moment comes out at 0.0 μB/f.u. For the calculated density, the calculation gives 2637 kg/m3. The value obtained for the total DFT energy (no corrections) is -85.9 eV/cell.

---

total DFT energy (no corrections) of number 1 (Cs2GdCl5)?
-170.4 eV/cell